No. 1
This record from the Materials Project describes an optimized crystal structure of LiZrS2. The functional is PBE.

Calculated values
Calculated volume (Å³/atom): 18.4
Crystal system: trigonal
Electronic total energy (eV/atom): -6.1749
Formation energy from the elements (kJ/mol of atoms): -168

a b c (Å): 6.902 6.902 6.902
angles (deg): 30.20 30.20 30.20
Fractional coordinates of all 4 atoms:
Li 0.000 0.000 0.000
Zr 0.827 0.827 0.827
S 0.241 0.241 0.241
S 0.412 0.412 0.412

---

No. 2
This record from the Materials Project describes an optimized crystal structure of Li3Sb. The functional is PBE.

Calculated values
Calculated volume (Å³/atom): 17.7
E above lowest polymorph (meV per atom): 0
Crystal system: cubic
Electronic total energy (eV/atom): -3.0958
Formation energy from the elements (kJ/mol of atoms): -66

a b c (Å): 4.640 4.640 4.640
angles (deg): 60.00 60.00 60.00
Fractional coordinates of all 4 atoms:
Li 0.000 0.000 0.000
Li 0.250 0.250 0.250
Li 0.750 0.750 0.750
Sb 0.500 0.500 0.500

---

No. 3
This record from the Materials Project describes an optimized crystal structure of Li3Sb. The functional is PBE.

Calculated values
Calculated volume (Å³/atom): 19.9
E above lowest polymorph (meV per atom): 3
Crystal system: hexagonal
Electronic total energy (eV/atom): -3.0929
Formation energy from the elements (kJ/mol of atoms): -65

a b c (Å): 4.690 4.690 8.347
angles (deg): 90.00 90.00 120.00
Fractional coordinates of all 8 atoms:
Li 0.000 0.000 0.250
Li 0.000 0.000 0.750
Li 0.333 0.667 0.088
Li 0.333 0.667 0.412
Li 0.667 0.333 0.588
Li 0.667 0.333 0.912
Sb 0.333 0.667 0.750
Sb 0.667 0.333 0.250

---

No. 4
This record from the Materials Project describes an optimized crystal structure of Li3SmSb2. The functional is PBE.

Calculated values
Calculated volume (Å³/atom): 22.1
Crystal system: trigonal
Electronic total energy (eV/atom): -3.9523
Formation energy from the elements (kJ/mol of atoms): -87

a b c (Å): 4.591 4.591 7.279
angles (deg): 90.00 90.00 120.00
Fractional coordinates of all 6 atoms:
Li 0.000 0.000 0.000
Li 0.333 0.667 0.853
Li 0.667 0.333 0.147
Sm 0.000 0.000 0.500
Sb 0.333 0.667 0.248
Sb 0.667 0.333 0.752

---

No. 5
This record from the Materials Project describes an optimized crystal structure of LiSnSb. The functional is PBE.

Calculated values
Calculated volume (Å³/atom): 25.4
Magnetization (μB per atom): 0.00
Crystal system: hexagonal
Electronic total energy (eV/atom): -3.5229
Formation energy from the elements (kJ/mol of atoms): -23

a b c (Å): 9.200 9.200 8.328
angles (deg): 90.00 90.00 120.00
Fractional coordinates of all 24 atoms:
Li 0.172 0.345 0.000
Li 0.172 0.828 0.000
Li 0.333 0.667 0.141
Li 0.345 0.172 0.500
Li 0.655 0.828 0.000
Li 0.667 0.333 0.641
Li 0.828 0.172 0.500
Li 0.828 0.655 0.500
Sn 0.168 0.335 0.353
Sn 0.168 0.832 0.353
Sn 0.333 0.667 0.775
Sn 0.335 0.168 0.853
Sn 0.665 0.832 0.353
Sn 0.667 0.333 0.275
Sn 0.832 0.168 0.853
Sn 0.832 0.665 0.853
Sb 0.000 0.000 0.058
Sb 0.000 0.000 0.558
Sb 0.034 0.517 0.563
Sb 0.483 0.517 0.563
Sb 0.483 0.966 0.563
Sb 0.517 0.034 0.063
Sb 0.517 0.483 0.063
Sb 0.966 0.483 0.063

---

No. 6
This record from the Materials Project describes an optimized crystal structure of Sr3Li4Sb4. The functional is PBE.

Calculated values
Calculated volume (Å³/atom): 26.5
Crystal system: orthorhombic
Electronic total energy (eV/atom): -3.5287
Formation energy from the elements (kJ/mol of atoms): -91

a b c (Å): 9.127 9.127 9.127
angles (deg): 149.17 131.17 58.87
Fractional coordinates of all 11 atoms:
Sr 0.000 0.000 0.000
Sr 0.370 0.870 0.500
Sr 0.630 0.130 0.500
Li 0.016 0.323 0.694
Li 0.371 0.677 0.694
Li 0.629 0.323 0.306
Li 0.984 0.677 0.306
Sb 0.214 0.214 0.000
Sb 0.309 0.500 0.809
Sb 0.691 0.500 0.191
Sb 0.786 0.786 0.000

---

No. 7
This record from the Materials Project describes an optimized crystal structure of LiSbTe2. The functional is PBE.

Calculated values
Calculated volume (Å³/atom): 28.6
Magnetization (μB per atom): 0.00
Crystal system: tetragonal
Electronic total energy (eV/atom): -3.4792
Formation energy from the elements (kJ/mol of atoms): -59

a b c (Å): 4.339 4.339 6.085
angles (deg): 90.00 90.00 90.00
Fractional coordinates of all 4 atoms:
Li 0.000 0.000 0.000
Sb 0.500 0.500 0.500
Te 0.000 0.000 0.500
Te 0.500 0.500 0.000

---

No. 8
This record from the Materials Project describes an optimized crystal structure of Li11TiSb5. The functional is PBE.

Calculated values
Calculated volume (Å³/atom): 20.5
Magnetization (μB per atom): 0.00
Piezoelectric modulus e_max (C/m²): 0.24
Crystal system: monoclinic
Electronic total energy (eV/atom): -3.4844
Formation energy from the elements (kJ/mol of atoms): -60

a b c (Å): 7.953 7.953 11.347
angles (deg): 116.63 116.63 33.36
Fractional coordinates of all 17 atoms:
Li 0.000 0.000 0.000
Li 0.001 0.001 0.251
Li 0.005 0.005 0.750
Li 0.194 0.194 0.030
Li 0.387 0.387 0.842
Li 0.412 0.412 0.356
Li 0.593 0.593 0.662
Li 0.595 0.595 0.168
Li 0.783 0.783 0.935
Li 0.794 0.794 0.185
Li 0.810 0.810 0.455
Ti 0.194 0.194 0.540
Sb 0.009 0.009 0.500
Sb 0.205 0.205 0.309
Sb 0.393 0.393 0.095
Sb 0.589 0.589 0.913
Sb 0.787 0.787 0.682

---

No. 9
This record from the Materials Project describes an optimized crystal structure of Li2TlSb. The functional is PBE.

Calculated values
Calculated volume (Å³/atom): 22.2
Crystal system: cubic
Electronic total energy (eV/atom): -2.9952
Formation energy from the elements (kJ/mol of atoms): -45

a b c (Å): 5.005 5.005 5.005
angles (deg): 60.00 60.00 60.00
Fractional coordinates of all 4 atoms:
Li 0.250 0.250 0.250
Li 0.750 0.750 0.750
Tl 0.000 0.000 0.000
Sb 0.500 0.500 0.500

---

No. 10
This record from the Materials Project describes an optimized crystal structure of LiVSb. The functional is PBE.

Calculated values
Calculated volume (Å³/atom): 22.0
Magnetization (μB per atom): 1.00
Crystal system: cubic
Electronic total energy (eV/atom): -4.9218
Formation energy from the elements (kJ/mol of atoms): 5

a b c (Å): 4.533 4.533 4.533
angles (deg): 60.00 60.00 60.00
Fractional coordinates of all 3 atoms:
Li 0.000 0.000 0.000
V 0.750 0.750 0.750
Sb 0.500 0.500 0.500

---

No. 11
This record from the Materials Project describes an optimized crystal structure of Li34Y13Sb26. The functional is PBE.

Calculated values
Calculated volume (Å³/atom): 22.5
Magnetization (μB per atom): 0.00
Crystal system: trigonal
Electronic total energy (eV/atom): -4.2939
Formation energy from the elements (kJ/mol of atoms): -82

a b c (Å): 4.516 4.516 92.959
angles (deg): 90.00 90.00 120.00
Fractional coordinates of all 73 atoms:
Li 0.000 0.000 0.000
Li 0.000 0.000 0.074
Li 0.000 0.000 0.151
Li 0.000 0.000 0.229
Li 0.000 0.000 0.306
Li 0.000 0.000 0.383
Li 0.000 0.000 0.461
Li 0.000 0.000 0.539
Li 0.000 0.000 0.614
Li 0.000 0.000 0.689
Li 0.000 0.000 0.769
Li 0.000 0.000 0.846
Li 0.000 0.000 0.921
Li 0.333 0.667 0.086
Li 0.333 0.667 0.163
Li 0.333 0.667 0.240
Li 0.333 0.667 0.317
Li 0.333 0.667 0.394
Li 0.333 0.667 0.472
Li 0.333 0.667 0.625
Li 0.333 0.667 0.703
Li 0.333 0.667 0.932
Li 0.667 0.333 0.063
Li 0.667 0.333 0.140
Li 0.667 0.333 0.217
Li 0.667 0.333 0.294
Li 0.667 0.333 0.371
Li 0.667 0.333 0.448
Li 0.667 0.333 0.525
Li 0.667 0.333 0.602
Li 0.667 0.333 0.755
Li 0.667 0.333 0.832
Li 0.667 0.333 0.909
Li 0.667 0.333 0.986
Y 0.000 0.000 0.035
Y 0.000 0.000 0.113
Y 0.000 0.000 0.190
Y 0.000 0.000 0.267
Y 0.000 0.000 0.344
Y 0.000 0.000 0.421
Y 0.000 0.000 0.499
Y 0.000 0.000 0.575
Y 0.000 0.000 0.653
Y 0.000 0.000 0.729
Y 0.000 0.000 0.805
Y 0.000 0.000 0.882
Y 0.000 0.000 0.960
Sb 0.333 0.667 0.055
Sb 0.333 0.667 0.132
Sb 0.333 0.667 0.209
Sb 0.333 0.667 0.286
Sb 0.333 0.667 0.363
Sb 0.333 0.667 0.441
Sb 0.333 0.667 0.517
Sb 0.333 0.667 0.594
Sb 0.333 0.667 0.672
Sb 0.333 0.667 0.748
Sb 0.333 0.667 0.824
Sb 0.333 0.667 0.901
Sb 0.333 0.667 0.978
Sb 0.667 0.333 0.017
Sb 0.667 0.333 0.094
Sb 0.667 0.333 0.171
Sb 0.667 0.333 0.248
Sb 0.667 0.333 0.325
Sb 0.667 0.333 0.402
Sb 0.667 0.333 0.479
Sb 0.667 0.333 0.555
Sb 0.667 0.333 0.633
Sb 0.667 0.333 0.710
Sb 0.667 0.333 0.786
Sb 0.667 0.333 0.862
Sb 0.667 0.333 0.940

---

No. 12
This record from the Materials Project describes an optimized crystal structure of Li3YSb2. The functional is PBE.

Calculated values
Calculated volume (Å³/atom): 21.5
Crystal system: trigonal
Electronic total energy (eV/atom): -4.2361
Formation energy from the elements (kJ/mol of atoms): -86

a b c (Å): 4.559 4.559 7.163
angles (deg): 90.00 90.00 120.00
Fractional coordinates of all 6 atoms:
Li 0.000 0.000 0.000
Li 0.333 0.667 0.154
Li 0.667 0.333 0.846
Y 0.000 0.000 0.500
Sb 0.333 0.667 0.749
Sb 0.667 0.333 0.251

---

Copy entry 11 word for word.
This record from the Materials Project describes an optimized crystal structure of Li34Y13Sb26. The functional is PBE.

Calculated values
Calculated volume (Å³/atom): 22.5
Magnetization (μB per atom): 0.00
Crystal system: trigonal
Electronic total energy (eV/atom): -4.2939
Formation energy from the elements (kJ/mol of atoms): -82

a b c (Å): 4.516 4.516 92.959
angles (deg): 90.00 90.00 120.00
Fractional coordinates of all 73 atoms:
Li 0.000 0.000 0.000
Li 0.000 0.000 0.074
Li 0.000 0.000 0.151
Li 0.000 0.000 0.229
Li 0.000 0.000 0.306
Li 0.000 0.000 0.383
Li 0.000 0.000 0.461
Li 0.000 0.000 0.539
Li 0.000 0.000 0.614
Li 0.000 0.000 0.689
Li 0.000 0.000 0.769
Li 0.000 0.000 0.846
Li 0.000 0.000 0.921
Li 0.333 0.667 0.086
Li 0.333 0.667 0.163
Li 0.333 0.667 0.240
Li 0.333 0.667 0.317
Li 0.333 0.667 0.394
Li 0.333 0.667 0.472
Li 0.333 0.667 0.625
Li 0.333 0.667 0.703
Li 0.333 0.667 0.932
Li 0.667 0.333 0.063
Li 0.667 0.333 0.140
Li 0.667 0.333 0.217
Li 0.667 0.333 0.294
Li 0.667 0.333 0.371
Li 0.667 0.333 0.448
Li 0.667 0.333 0.525
Li 0.667 0.333 0.602
Li 0.667 0.333 0.755
Li 0.667 0.333 0.832
Li 0.667 0.333 0.909
Li 0.667 0.333 0.986
Y 0.000 0.000 0.035
Y 0.000 0.000 0.113
Y 0.000 0.000 0.190
Y 0.000 0.000 0.267
Y 0.000 0.000 0.344
Y 0.000 0.000 0.421
Y 0.000 0.000 0.499
Y 0.000 0.000 0.575
Y 0.000 0.000 0.653
Y 0.000 0.000 0.729
Y 0.000 0.000 0.805
Y 0.000 0.000 0.882
Y 0.000 0.000 0.960
Sb 0.333 0.667 0.055
Sb 0.333 0.667 0.132
Sb 0.333 0.667 0.209
Sb 0.333 0.667 0.286
Sb 0.333 0.667 0.363
Sb 0.333 0.667 0.441
Sb 0.333 0.667 0.517
Sb 0.333 0.667 0.594
Sb 0.333 0.667 0.672
Sb 0.333 0.667 0.748
Sb 0.333 0.667 0.824
Sb 0.333 0.667 0.901
Sb 0.333 0.667 0.978
Sb 0.667 0.333 0.017
Sb 0.667 0.333 0.094
Sb 0.667 0.333 0.171
Sb 0.667 0.333 0.248
Sb 0.667 0.333 0.325
Sb 0.667 0.333 0.402
Sb 0.667 0.333 0.479
Sb 0.667 0.333 0.555
Sb 0.667 0.333 0.633
Sb 0.667 0.333 0.710
Sb 0.667 0.333 0.786
Sb 0.667 0.333 0.862
Sb 0.667 0.333 0.940

---

What did the tenth record say?
This record from the Materials Project describes an optimized crystal structure of LiVSb. The functional is PBE.

Calculated values
Calculated volume (Å³/atom): 22.0
Magnetization (μB per atom): 1.00
Crystal system: cubic
Electronic total energy (eV/atom): -4.9218
Formation energy from the elements (kJ/mol of atoms): 5

a b c (Å): 4.533 4.533 4.533
angles (deg): 60.00 60.00 60.00
Fractional coordinates of all 3 atoms:
Li 0.000 0.000 0.000
V 0.750 0.750 0.750
Sb 0.500 0.500 0.500